[1]
First-principles (meta-GGA r2SCAN) data for a relaxed PbAu2 crystal, as listed in the Materials Project.

Output
Symmetry: Pbcn

Cell lengths 7.9919, 5.6913, 11.4300 Å; angles 90.00, 90.00, 90.00 degrees
Fractional positions:
Pb: 0.1265 0.0128 0.1248
Pb: 0.1265 0.9872 0.6248
Pb: 0.3735 0.4872 0.6248
Pb: 0.3735 0.5128 0.1248
Pb: 0.6265 0.4872 0.8752
Pb: 0.6265 0.5128 0.3752
Pb: 0.8735 0.0128 0.3752
Pb: 0.8735 0.9872 0.8752
Au: 0.0000 0.4698 0.2500
Au: 0.0000 0.5000 0.0000
Au: 0.0000 0.5000 0.5000
Au: 0.0000 0.5302 0.7500
Au: 0.2214 0.2112 0.8733
Au: 0.2214 0.7888 0.3733
Au: 0.2786 0.2888 0.3733
Au: 0.2786 0.7112 0.8733
Au: 0.5000 0.0000 0.0000
Au: 0.5000 0.0000 0.5000
Au: 0.5000 0.0302 0.7500
Au: 0.5000 0.9698 0.2500
Au: 0.7214 0.2888 0.1267
Au: 0.7214 0.7112 0.6267
Au: 0.7786 0.2112 0.6267
Au: 0.7786 0.7888 0.1267

[2]
First-principles (meta-GGA r2SCAN) data for a relaxed CsCuF4 crystal, as listed in the Materials Project.

Output
Symmetry: Fmmm

Cell lengths 7.5220, 7.5182, 6.1551 Å; angles 65.87, 65.81, 48.31 degrees
Fractional positions:
Cs: 0.2500 0.2500 0.2500
Cs: 0.7500 0.7500 0.7500
Cu: 0.0000 0.0000 0.0000
Cu: 0.5000 0.5000 0.5000
F: 0.0423 0.7566 0.2434
F: 0.2434 0.9577 0.0423
F: 0.2561 0.5429 0.7439
F: 0.4571 0.7439 0.5429
F: 0.5429 0.2561 0.4571
F: 0.7439 0.4571 0.2561
F: 0.7566 0.0423 0.9577
F: 0.9577 0.2434 0.7566

[3]
First-principles (meta-GGA r2SCAN) data for a relaxed OsCl4 crystal, as listed in the Materials Project.

Output
Symmetry: Cmmm

Cell lengths 5.9133, 5.9133, 3.6037 Å; angles 90.00, 90.00, 93.54 degrees
Fractional positions:
Os: 0.0000 0.0000 0.0000
Cl: 0.1815 0.8185 0.5000
Cl: 0.2797 0.2797 0.0000
Cl: 0.7203 0.7203 0.0000
Cl: 0.8185 0.1815 0.5000

[4]
First-principles (meta-GGA r2SCAN) data for a relaxed SiO2 crystal, as listed in the Materials Project.

Output
Symmetry: Cmmm

Cell lengths 11.8230, 11.8230, 7.5323 Å; angles 90.00, 90.00, 105.52 degrees
Fractional positions:
Si: 0.1165 0.2812 0.2064
Si: 0.1165 0.2812 0.7936
Si: 0.1252 0.4709 0.5000
Si: 0.1492 0.8508 0.2054
Si: 0.1492 0.8508 0.7946
Si: 0.2688 0.7312 0.5000
Si: 0.2812 0.1165 0.2064
Si: 0.2812 0.1165 0.7936
Si: 0.4709 0.1252 0.5000
Si: 0.5291 0.8748 0.5000
Si: 0.7188 0.8835 0.2064
Si: 0.7188 0.8835 0.7936
Si: 0.7312 0.2688 0.5000
Si: 0.8508 0.1492 0.2054
Si: 0.8508 0.1492 0.7946
Si: 0.8748 0.5291 0.5000
Si: 0.8835 0.7188 0.2064
Si: 0.8835 0.7188 0.7936
O: 0.0000 0.5000 0.5000
O: 0.0107 0.8073 0.2477
O: 0.0107 0.8073 0.7523
O: 0.1247 0.3187 0.0000
O: 0.1369 0.3976 0.3243
O: 0.1369 0.3976 0.6757
O: 0.1735 0.8265 0.0000
O: 0.1927 0.9893 0.2477
O: 0.1927 0.9893 0.7523
O: 0.2159 0.2159 0.2540
O: 0.2159 0.2159 0.7460
O: 0.2196 0.7804 0.3251
O: 0.2196 0.7804 0.6749
O: 0.2288 0.5904 0.5000
O: 0.3187 0.1247 0.0000
O: 0.3976 0.1369 0.3243
O: 0.3976 0.1369 0.6757
O: 0.4096 0.7712 0.5000
O: 0.5000 0.0000 0.5000
O: 0.5904 0.2288 0.5000
O: 0.6024 0.8631 0.3243
O: 0.6024 0.8631 0.6757
O: 0.6813 0.8753 0.0000
O: 0.7712 0.4096 0.5000
O: 0.7804 0.2196 0.3251
O: 0.7804 0.2196 0.6749
O: 0.7841 0.7841 0.2540
O: 0.7841 0.7841 0.7460
O: 0.8073 0.0107 0.2477
O: 0.8073 0.0107 0.7523
O: 0.8265 0.1735 0.0000
O: 0.8631 0.6024 0.3243
O: 0.8631 0.6024 0.6757
O: 0.8753 0.6813 0.0000
O: 0.9893 0.1927 0.2477
O: 0.9893 0.1927 0.7523

| no. | DFT total energy (eV for the cell shown) |
| --- | --- |
| 1 | -1261.3 |
| 2 | -122.2 |
| 3 | -80.2 |
| 4 | -536.0 |